Run 1
! W, optimized geometry, DFT PBE-GGA; values from VASP
! Size of the total moment: 0.00 μB/f.u.
&SYSTEM
  ibrav = 0, nat = 4, ntyp = 1
/
ATOMIC_SPECIES
W 183.84 W.upf
ATOMIC_POSITIONS angstrom
W -2.551 -0.316 0.862
W -5.318 2.604 3.853
W -6.644 5.223 3.240
W -3.877 2.303 0.249
CELL_PARAMETERS angstrom
-1.990 -0.064 -1.778
-1.354 -1.676 1.575
-5.851 6.647 4.305

---

Run 2
! W, optimized geometry, DFT PBE-GGA; values from VASP
! Size of the total moment: 0.00 μB/f.u.
&SYSTEM
  ibrav = 0, nat = 1, ntyp = 1
/
ATOMIC_SPECIES
W 183.84 W.upf
ATOMIC_POSITIONS angstrom
W 0.000 0.000 0.000
CELL_PARAMETERS angstrom
0.000 2.022 2.022
2.022 0.000 2.022
2.022 2.022 0.000

---

Verdict on stability: run 2 comes out on top.

---

Run 1
! Sr2HfO4, optimized geometry, DFT PBE-GGA; values from VASP
! Size of the total moment: 0.00 μB/f.u.
&SYSTEM
  ibrav = 0, nat = 14, ntyp = 3
/
ATOMIC_SPECIES
Sr 87.62 Sr.upf
Hf 178.49 Hf.upf
O 16.00 O.upf
ATOMIC_POSITIONS angstrom
Sr -2.088 6.804 -1.310
Sr -3.031 1.256 -1.572
Sr -5.386 7.497 -1.218
Sr -6.330 1.949 -1.480
Hf 0.000 0.000 0.000
Hf -4.180 4.292 0.288
O -1.226 1.659 0.105
O -3.628 9.352 -1.155
O -2.843 4.227 -1.426
O -3.859 6.330 0.385
O -4.500 2.254 0.191
O -5.574 4.526 -1.364
O -4.790 -0.599 -1.635
O -7.134 6.925 0.471
CELL_PARAMETERS angstrom
-0.058 0.169 -3.366
-5.903 -1.447 0.030
-2.457 10.031 0.546

---

Run 2
Crystalline Sr2HfO4 at its relaxed geometry, computed with PBE-GGA. Values from VASP.

```
&SYSTEM
  ibrav = 0, nat = 28, ntyp = 3
/
ATOMIC_SPECIES
Sr 87.62 Sr.upf
Hf 178.49 Hf.upf
O 16.00 O.upf
ATOMIC_POSITIONS angstrom
Sr 10.950 3.584 -0.295
Sr 7.477 3.629 -2.021
Sr 1.011 3.169 1.045
Sr 4.013 1.948 -1.085
Sr 18.967 9.206 -5.126
Sr 9.036 7.065 -1.124
Sr 2.924 -0.312 1.874
Sr 15.503 7.524 -4.190
Hf 11.490 5.577 -3.105
Hf 6.937 1.636 0.789
Hf 0.000 0.000 0.000
Hf 5.024 5.117 -0.039
O 17.422 8.834 -3.121
O 6.508 1.401 -1.222
O 5.087 0.738 1.289
O 9.639 4.679 -2.605
O 8.788 2.534 0.289
O 13.340 6.475 -3.605
O 4.982 4.176 -1.883
O -0.534 2.798 3.050
O 6.028 3.496 0.766
O 11.531 6.518 -1.262
O 1.851 0.898 -0.500
O 21.129 10.255 -5.710
O 3.173 4.219 0.461
O 6.874 6.015 -0.539
O 0.429 0.235 2.011
O 12.494 3.955 -2.300
CELL_PARAMETERS angstrom
13.403 2.095 -2.277
9.576 9.058 -3.934
-11.019 -4.401 6.960
```

---

Verdict on stability: run 2 comes out on top.